No. 1
Entry from the Materials Project: Al2Tc2O5 after structural relaxation (PBE).

```
Al2Tc2O5
1.0
3.575 0.000 0.000
0.000 3.575 0.000
0.000 0.000 7.396
Al Tc O
2 2 5
Direct
0.000 0.000 0.248
0.000 0.000 0.752
0.500 0.500 0.000
0.500 0.500 0.500
0.000 0.000 0.500
0.000 0.500 0.175
0.000 0.500 0.825
0.500 0.000 0.175
0.500 0.000 0.825
```

Output
Its formation enthalpy at 0 K is -1.7997 eV/atom. The total energy comes out at -7.302 eV/atom. As for the space group: P4/mmm.

No. 2
Entry from the Materials Project: BaH5ClO3 after structural relaxation (PBE).

```
BaH5ClO3
1.0
4.560 0.000 0.000
0.000 4.560 0.000
0.000 0.000 11.687
Ba H Cl O
2 10 2 6
Direct
0.250 0.250 0.179
0.750 0.750 0.821
0.069 0.750 0.369
0.250 0.250 0.491
0.250 0.569 0.631
0.250 0.931 0.631
0.431 0.750 0.369
0.569 0.250 0.631
0.750 0.069 0.369
0.750 0.431 0.369
0.750 0.750 0.509
0.931 0.250 0.631
0.250 0.250 0.907
0.750 0.750 0.093
0.250 0.250 0.574
0.250 0.750 0.318
0.250 0.750 0.682
0.750 0.250 0.318
0.750 0.250 0.682
0.750 0.750 0.426
```

Output
Its formation enthalpy at 0 K is -1.6828 eV/atom. The total energy comes out at -5.034 eV/atom. As for the space group: P4/nmm.

No. 3
Entry from the Materials Project: HgNCl after structural relaxation (PBE).

```
HgNCl
1.0
7.951 0.000 0.000
0.000 13.025 0.000
0.000 0.000 4.014
Hg N Cl
4 4 4
Direct
0.000 0.000 0.000
0.000 0.500 0.000
0.500 0.000 0.000
0.500 0.500 0.000
0.250 0.207 0.025
0.250 0.293 0.025
0.750 0.707 0.975
0.750 0.793 0.975
0.250 0.541 0.513
0.250 0.959 0.513
0.750 0.041 0.487
0.750 0.459 0.487
```

Output
Its formation enthalpy at 0 K is -0.3098 eV/atom. The total energy comes out at -3.601 eV/atom. As for the space group: Pmmn.

No. 4
Entry from the Materials Project: ErBeO3 after structural relaxation (PBE).

```
ErBeO3
1.0
3.553 0.000 0.000
0.000 3.553 0.000
0.000 0.000 3.553
Er Be O
1 1 3
Direct
0.000 0.000 0.000
0.500 0.500 0.500
0.000 0.500 0.500
0.500 0.000 0.500
0.500 0.500 0.000
```

Output
Its formation enthalpy at 0 K is -2.8877 eV/atom. The total energy comes out at -7.106 eV/atom. As for the space group: Pm-3m.

No. 5
Entry from the Materials Project: Pr2Co7B3 after structural relaxation (PBE).

```
Pr2Co7B3
1.0
5.151 0.000 0.000
-2.576 4.461 0.000
0.000 0.000 12.732
Pr Co B
4 14 6
Direct
0.000 0.000 0.000
0.000 0.000 0.240
0.000 0.000 0.500
0.000 0.000 0.760
0.000 0.500 0.115
0.000 0.500 0.343
0.000 0.500 0.657
0.000 0.500 0.885
0.333 0.667 0.500
0.500 0.000 0.115
0.500 0.000 0.343
0.500 0.000 0.657
0.500 0.000 0.885
0.500 0.500 0.115
0.500 0.500 0.343
0.500 0.500 0.657
0.500 0.500 0.885
0.667 0.333 0.500
0.333 0.667 0.000
0.333 0.667 0.231
0.333 0.667 0.769
0.667 0.333 0.000
0.667 0.333 0.231
0.667 0.333 0.769
```

Output
Its formation enthalpy at 0 K is -0.2790 eV/atom. The total energy comes out at -6.892 eV/atom. As for the space group: P6/mmm.

No. 6
Entry from the Materials Project: Cs2GaP4H3O14 after structural relaxation (PBE).

```
Cs2GaP4H3O14
1.0
5.150 0.000 0.000
0.000 8.125 0.000
-2.844 0.000 17.010
Cs Ga P H O
4 2 8 6 28
Direct
0.042 0.084 0.135
0.042 0.416 0.635
0.958 0.584 0.365
0.958 0.916 0.865
0.000 0.000 0.500
0.000 0.500 0.000
0.334 0.557 0.174
0.334 0.943 0.674
0.475 0.226 0.458
0.475 0.274 0.958
0.525 0.726 0.042
0.525 0.774 0.542
0.666 0.057 0.326
0.666 0.443 0.826
0.333 0.710 0.741
0.333 0.790 0.241
0.500 0.000 0.000
0.500 0.500 0.500
0.667 0.210 0.759
0.667 0.290 0.259
0.120 0.024 0.615
0.120 0.476 0.115
0.203 0.704 0.215
0.203 0.796 0.715
0.207 0.202 0.484
0.207 0.298 0.984
0.297 0.646 0.986
0.297 0.854 0.486
0.454 0.146 0.372
0.454 0.354 0.872
0.478 0.589 0.554
0.478 0.911 0.054
0.484 0.055 0.735
0.484 0.445 0.235
0.516 0.555 0.765
0.516 0.945 0.265
0.522 0.089 0.946
0.522 0.411 0.446
0.546 0.646 0.128
0.546 0.854 0.628
0.703 0.146 0.514
0.703 0.354 0.014
0.793 0.702 0.016
0.793 0.798 0.516
0.797 0.204 0.285
0.797 0.296 0.785
0.880 0.524 0.885
0.880 0.976 0.385
```

Output
Its formation enthalpy at 0 K is -2.4141 eV/atom. The total energy comes out at -6.427 eV/atom. As for the space group: P2_1/c.

No. 7
Entry from the Materials Project: MgSi2 after structural relaxation (PBE).

```
MgSi2
1.0
3.874 0.000 0.000
1.904 5.073 0.000
1.783 2.028 11.269
Mg Si
4 8
Direct
0.000 0.000 0.000
0.055 0.560 0.273
0.246 0.725 0.756
0.445 0.555 0.520
0.150 0.167 0.491
0.261 0.428 0.048
0.337 0.954 0.321
0.551 0.074 0.797
0.706 0.954 0.594
0.731 0.601 0.924
0.789 0.153 0.212
0.935 0.354 0.751
```

Output
Its formation enthalpy at 0 K is 0.1958 eV/atom. The total energy comes out at -4.002 eV/atom. As for the space group: P1.

No. 8
Entry from the Materials Project: SiO2 after structural relaxation (PBE).

```
SiO2
1.0
7.515 0.000 0.000
0.000 14.277 0.000
0.000 0.000 18.922
Si O
36 72
Direct
0.000 0.000 0.152
0.000 0.000 0.848
0.011 0.201 0.083
0.011 0.201 0.917
0.190 0.792 0.317
0.190 0.792 0.683
0.208 0.500 0.227
0.208 0.500 0.773
0.222 0.197 0.333
0.222 0.197 0.667
0.278 0.697 0.167
0.278 0.697 0.833
0.292 0.000 0.273
0.292 0.000 0.727
0.310 0.292 0.183
0.310 0.292 0.817
0.489 0.701 0.417
0.489 0.701 0.583
0.500 0.500 0.348
0.500 0.500 0.652
0.511 0.299 0.417
0.511 0.299 0.583
0.690 0.708 0.183
0.690 0.708 0.817
0.708 0.000 0.273
0.708 0.000 0.727
0.722 0.303 0.167
0.722 0.303 0.833
0.778 0.803 0.333
0.778 0.803 0.667
0.792 0.500 0.227
0.792 0.500 0.773
0.810 0.208 0.317
0.810 0.208 0.683
0.989 0.799 0.083
0.989 0.799 0.917
0.000 0.500 0.250
0.000 0.500 0.750
0.013 0.220 0.345
0.013 0.220 0.655
0.023 0.909 0.102
0.023 0.909 0.898
0.057 0.210 0.000
0.167 0.738 0.100
0.167 0.738 0.900
0.176 0.013 0.202
0.176 0.013 0.798
0.179 0.239 0.128
0.179 0.239 0.872
0.205 0.747 0.239
0.205 0.747 0.761
0.242 0.903 0.314
0.242 0.903 0.686
0.248 0.585 0.172
0.248 0.585 0.828
0.252 0.085 0.328
0.252 0.085 0.672
0.258 0.403 0.186
0.258 0.403 0.814
0.295 0.247 0.261
0.295 0.247 0.739
0.321 0.739 0.372
0.321 0.739 0.628
0.324 0.513 0.298
0.324 0.513 0.702
0.333 0.238 0.400
0.333 0.238 0.600
0.443 0.710 0.500
0.477 0.409 0.398
0.477 0.409 0.602
0.487 0.720 0.155
0.487 0.720 0.845
0.500 0.000 0.250
0.500 0.000 0.750
0.513 0.280 0.155
0.513 0.280 0.845
0.523 0.591 0.398
0.523 0.591 0.602
0.557 0.290 0.500
0.667 0.762 0.400
0.667 0.762 0.600
0.676 0.487 0.298
0.676 0.487 0.702
0.679 0.261 0.372
0.679 0.261 0.628
0.705 0.753 0.261
0.705 0.753 0.739
0.742 0.597 0.186
0.742 0.597 0.814
0.748 0.915 0.328
0.748 0.915 0.672
0.752 0.415 0.172
0.752 0.415 0.828
0.758 0.097 0.314
0.758 0.097 0.686
0.795 0.253 0.239
0.795 0.253 0.761
0.821 0.761 0.128
0.821 0.761 0.872
0.824 0.987 0.202
0.824 0.987 0.798
0.833 0.262 0.100
0.833 0.262 0.900
0.943 0.790 0.000
0.977 0.091 0.102
0.977 0.091 0.898
0.987 0.780 0.345
0.987 0.780 0.655
```

Output
Its formation enthalpy at 0 K is -3.2554 eV/atom. The total energy comes out at -7.904 eV/atom. As for the space group: Pnnm.

No. 9
Entry from the Materials Project: K2ZnH12S2O14 after structural relaxation (PBE).

```
K2ZnH12S2O14
1.0
6.872 0.000 0.000
0.000 12.415 0.000
-3.980 0.000 9.533
K Zn H S O
4 2 24 4 28
Direct
0.152 0.223 0.333
0.152 0.277 0.833
0.848 0.723 0.167
0.848 0.777 0.667
0.500 0.000 0.000
0.500 0.500 0.500
0.058 0.542 0.651
0.058 0.958 0.151
0.100 0.024 0.771
0.100 0.476 0.271
0.351 0.673 0.515
0.351 0.827 0.015
0.446 0.600 0.248
0.446 0.900 0.748
0.471 0.244 0.590
0.471 0.256 0.090
0.490 0.650 0.800
0.490 0.850 0.300
0.510 0.150 0.700
0.510 0.350 0.200
0.529 0.744 0.910
0.529 0.756 0.410
0.554 0.100 0.252
0.554 0.400 0.752
0.649 0.173 0.985
0.649 0.327 0.485
0.900 0.524 0.729
0.900 0.976 0.229
0.942 0.042 0.849
0.942 0.458 0.349
0.193 0.614 0.023
0.193 0.886 0.523
0.807 0.114 0.477
0.807 0.386 0.977
0.010 0.077 0.791
0.010 0.423 0.291
0.117 0.728 0.983
0.117 0.772 0.483
0.261 0.601 0.189
0.261 0.899 0.689
0.268 0.022 0.106
0.268 0.478 0.606
0.354 0.090 0.214
0.354 0.410 0.714
0.406 0.179 0.613
0.406 0.321 0.113
0.487 0.650 0.513
0.487 0.850 0.013
0.513 0.150 0.987
0.513 0.350 0.487
0.594 0.679 0.887
0.594 0.821 0.387
0.646 0.590 0.286
0.646 0.910 0.786
0.732 0.522 0.394
0.732 0.978 0.894
0.739 0.101 0.311
0.739 0.399 0.811
0.883 0.228 0.517
0.883 0.272 0.017
0.990 0.577 0.709
0.990 0.923 0.209
```

Output
Its formation enthalpy at 0 K is -1.2220 eV/atom. The total energy comes out at -4.839 eV/atom. As for the space group: P2_1/c.

No. 10
Entry from the Materials Project: KNiAu3C6N6 after structural relaxation (PBE).

```
KNiAu3C6N6
1.0
7.007 0.000 0.000
-3.504 6.069 0.000
0.000 0.000 7.594
K Ni Au C N
1 1 3 6 6
Direct
0.000 0.000 0.000
0.333 0.667 0.000
0.344 0.172 0.500
0.828 0.172 0.500
0.828 0.656 0.500
0.340 0.006 0.285
0.340 0.334 0.715
0.666 0.006 0.715
0.666 0.660 0.285
0.994 0.334 0.285
0.994 0.660 0.715
0.098 0.432 0.162
0.098 0.666 0.838
0.334 0.432 0.838
0.334 0.902 0.162
0.568 0.666 0.162
0.568 0.902 0.838
```

Output
Its formation enthalpy at 0 K is 0.0858 eV/atom. The total energy comes out at -6.969 eV/atom. As for the space group: P312.

No. 11
Entry from the Materials Project: Ca11Co2N10 after structural relaxation (PBE).

```
Ca11Co2N10
1.0
14.893 0.000 0.000
0.000 14.893 0.000
0.000 0.000 3.634
Ca Co N
22 4 20
Direct
0.000 0.000 0.000
0.028 0.204 0.500
0.108 0.623 0.500
0.123 0.392 0.000
0.160 0.840 0.000
0.204 0.028 0.500
0.296 0.528 0.000
0.340 0.340 0.500
0.377 0.892 0.500
0.392 0.123 0.000
0.472 0.704 0.000
0.500 0.500 0.500
0.528 0.296 0.000
0.608 0.877 0.000
0.623 0.108 0.500
0.660 0.660 0.500
0.704 0.472 0.000
0.796 0.972 0.500
0.840 0.160 0.000
0.877 0.608 0.000
0.892 0.377 0.500
0.972 0.796 0.500
0.194 0.194 0.000
0.306 0.694 0.500
0.694 0.306 0.500
0.806 0.806 0.000
0.025 0.689 0.000
0.081 0.919 0.500
0.115 0.115 0.000
0.189 0.475 0.500
0.228 0.772 0.500
0.272 0.272 0.000
0.311 0.975 0.000
0.385 0.615 0.500
0.419 0.419 0.000
0.475 0.189 0.500
0.525 0.811 0.500
0.581 0.581 0.000
0.615 0.385 0.500
0.689 0.025 0.000
0.728 0.728 0.000
0.772 0.228 0.500
0.811 0.525 0.500
0.885 0.885 0.000
0.919 0.081 0.500
0.975 0.311 0.000
```

Output
Its formation enthalpy at 0 K is -0.6649 eV/atom. The total energy comes out at -5.710 eV/atom. As for the space group: P4_2/mnm.